(1)
DFT (PBE+U) results for crystalline Eu3WCl3O6 at its relaxed geometry.

Values from the calculation:
energy of formation: -2.55 eV per atom

Geometry as CIF:
```
data_Eu3WCl3O6
_cell_length_a 9.4101
_cell_length_b 9.4101
_cell_length_c 5.3526
_cell_angle_alpha 90.00
_cell_angle_beta 90.00
_cell_angle_gamma 120.00
_symmetry_space_group_name_H-M 'P 63/m'
_symmetry_Int_Tables_number 176
_symmetry_space_group_name_Hall '-P 6c'
loop_
_atom_site_label
_atom_site_type_symbol
_atom_site_fract_x
_atom_site_fract_y
_atom_site_fract_z
Eu1 Eu 0.0898 0.4028 0.2500
W1 W 0.3333 0.6667 0.7500
Cl1 Cl 0.0494 0.2418 0.7500
O1 O 0.1602 0.6352 0.5174
```

(2)
DFT (PBE+U) results for crystalline Fe2P2N2Cl2O6F3 at its relaxed geometry.

Values from the calculation:
energy of formation: -1.25 eV per atom

Geometry as CIF:
```
data_Fe2P2N2Cl2O6F3
_cell_length_a 7.359
_cell_length_b 7.504
_cell_length_c 20.842
_cell_angle_alpha 90.00
_cell_angle_beta 90.00
_cell_angle_gamma 90.00
_symmetry_space_group_name_H-M 'P c a 21'
_symmetry_Int_Tables_number 29
loop_
_symmetry_equiv_pos_as_xyz
'x,y,z'
'-x,-y,z+1/2'
'-x+1/2,y,z+1/2'
'x+1/2,-y,z'
loop_
_atom_site_label
_atom_site_type_symbol
_atom_site_fract_x
_atom_site_fract_y
_atom_site_fract_z
Fe1 Fe 0.009 0.002 0.000
Fe2 Fe 0.192 0.736 0.754
P1 P 0.239 0.757 0.598
P2 P 0.249 0.735 0.912
N1 N 0.238 0.203 0.655
N2 N 0.250 0.237 0.351
Cl1 Cl 0.007 0.507 0.735
Cl2 Cl 0.027 0.987 0.771
O1 O 0.062 0.846 0.576
O2 O 0.076 0.806 0.441
O3 O 0.080 0.846 0.926
O4 O 0.095 0.807 0.059
O5 O 0.226 0.698 0.340
O6 O 0.226 0.785 0.170
F1 F 0.211 0.551 0.589
F2 F 0.216 0.545 0.941
F3 F 0.241 0.102 0.500
```

(3)
DFT (PBE+U) results for crystalline FeTe3S3Cl3O9F18 at its relaxed geometry.

Values from the calculation:
energy of formation: -1.93 eV per atom

Geometry as CIF:
```
data_FeTe3S3Cl3O9F18
_cell_length_a 9.790
_cell_length_b 16.058
_cell_length_c 18.749
_cell_angle_alpha 90.00
_cell_angle_beta 112.28
_cell_angle_gamma 90.00
_symmetry_space_group_name_H-M 'P 1 21/c 1'
_symmetry_Int_Tables_number 14
loop_
_symmetry_equiv_pos_as_xyz
'x,y,z'
'-x,-y,-z'
'-x,y+1/2,-z+1/2'
'x,-y+1/2,z+1/2'
loop_
_atom_site_label
_atom_site_type_symbol
_atom_site_fract_x
_atom_site_fract_y
_atom_site_fract_z
Fe1 Fe 0.244 0.151 0.242
Te1 Te 0.148 0.515 0.836
Te2 Te 0.297 0.021 0.104
Te3 Te 0.371 0.642 0.145
S1 S 0.117 0.676 0.382
S2 S 0.228 0.205 0.882
S3 S 0.300 0.171 0.643
Cl1 Cl 0.016 0.201 0.865
Cl2 Cl 0.166 0.119 0.546
Cl3 Cl 0.299 0.722 0.375
O1 O 0.001 0.680 0.306
O2 O 0.097 0.704 0.449
O3 O 0.199 0.074 0.160
O4 O 0.220 0.088 0.322
O5 O 0.228 0.244 0.657
O6 O 0.243 0.234 0.812
O7 O 0.313 0.239 0.955
O8 O 0.447 0.175 0.645
O9 O 0.451 0.163 0.273
F1 F 0.022 0.009 0.755
F2 F 0.042 0.032 0.391
F3 F 0.073 0.619 0.852
F4 F 0.152 0.055 0.010
F5 F 0.164 0.581 0.394
F6 F 0.188 0.623 0.064
F7 F 0.191 0.578 0.597
F8 F 0.247 0.575 0.784
F9 F 0.261 0.109 0.883
F10 F 0.285 0.599 0.212
F11 F 0.293 0.103 0.702
F12 F 0.298 0.748 0.156
F13 F 0.307 0.533 0.930
F14 F 0.392 0.533 0.546
F15 F 0.410 0.116 0.102
F16 F 0.425 0.533 0.127
F17 F 0.436 0.685 0.070
F18 F 0.451 0.519 0.692
```

(4)
DFT (PBE+U) results for crystalline K2FeH2Cl5O at its relaxed geometry.

Values from the calculation:
energy of formation: -1.36 eV per atom

Geometry as CIF:
```
data_K2FeH2Cl5O
_cell_length_a 13.978
_cell_length_b 9.553
_cell_length_c 7.401
_cell_angle_alpha 90.00
_cell_angle_beta 90.00
_cell_angle_gamma 90.00
_symmetry_space_group_name_H-M 'P n m a'
_symmetry_Int_Tables_number 62
loop_
_symmetry_equiv_pos_as_xyz
'x,y,z'
'-x,-y,-z'
'-x+1/2,-y,z+1/2'
'x+1/2,y,-z+1/2'
'x+1/2,-y+1/2,-z+1/2'
'-x+1/2,y+1/2,z+1/2'
'-x,y+1/2,-z'
'x,-y+1/2,z'
loop_
_atom_site_label
_atom_site_type_symbol
_atom_site_fract_x
_atom_site_fract_y
_atom_site_fract_z
K1 K 0.149 0.003 0.134
Fe1 Fe 0.110 0.750 0.689
H1 H 0.035 0.166 0.540
Cl1 Cl 0.008 0.750 0.957
Cl2 Cl 0.102 0.001 0.687
Cl3 Cl 0.210 0.750 0.425
Cl4 Cl 0.247 0.750 0.879
O1 O 0.012 0.250 0.474
```

(5)
DFT (PBE+U) results for crystalline FeH10N2Cl5O at its relaxed geometry.

Values from the calculation:
energy of formation: -0.74 eV per atom

Geometry as CIF:
```
data_FeH10N2Cl5O
_cell_length_a 13.929
_cell_length_b 9.957
_cell_length_c 7.171
_cell_angle_alpha 90.00
_cell_angle_beta 90.00
_cell_angle_gamma 90.00
_symmetry_space_group_name_H-M 'P n m a'
_symmetry_Int_Tables_number 62
loop_
_symmetry_equiv_pos_as_xyz
'x,y,z'
'-x,-y,-z'
'-x+1/2,-y,z+1/2'
'x+1/2,y,-z+1/2'
'x+1/2,-y+1/2,-z+1/2'
'-x+1/2,y+1/2,z+1/2'
'-x,y+1/2,-z'
'x,-y+1/2,z'
loop_
_atom_site_label
_atom_site_type_symbol
_atom_site_fract_x
_atom_site_fract_y
_atom_site_fract_z
Fe1 Fe 0.120 0.250 0.187
H1 H 0.030 0.669 0.052
H2 H 0.099 0.581 0.653
H3 H 0.106 0.088 0.627
H4 H 0.155 0.015 0.817
H5 H 0.205 0.507 0.608
N1 N 0.141 0.004 0.677
Cl1 Cl 0.006 0.250 0.455
Cl2 Cl 0.106 0.009 0.173
Cl3 Cl 0.225 0.250 0.930
Cl4 Cl 0.246 0.250 0.398
O1 O 0.002 0.750 0.993
```

(6)
DFT (PBE+U) results for crystalline FeH8Cl2O4 at its relaxed geometry.

Values from the calculation:
energy of formation: -1.16 eV per atom

Geometry as CIF:
```
data_FeH8Cl2O4
_cell_length_a 5.832
_cell_length_b 7.325
_cell_length_c 9.184
_cell_angle_alpha 90.00
_cell_angle_beta 114.80
_cell_angle_gamma 90.00
_symmetry_space_group_name_H-M 'P 1 21/c 1'
_symmetry_Int_Tables_number 14
loop_
_symmetry_equiv_pos_as_xyz
'x,y,z'
'-x,-y,-z'
'-x,y+1/2,-z+1/2'
'x,-y+1/2,z+1/2'
loop_
_atom_site_label
_atom_site_type_symbol
_atom_site_fract_x
_atom_site_fract_y
_atom_site_fract_z
Fe1 Fe 0.000 0.000 0.000
H1 H 0.084 0.006 0.346
H2 H 0.101 0.183 0.264
H3 H 0.394 0.721 0.682
H4 H 0.405 0.702 0.514
Cl1 Cl 0.325 0.247 0.577
O1 O 0.021 0.063 0.241
O2 O 0.286 0.702 0.566
```